Here is a relaxed LiV2O5 crystal from Materials Project. Energies are from PBE+U.

a = 4.9139 Å, b = 3.5676 Å, c = 11.6068 Å
α = 90.00°, β = 90.06°, γ = 90.00°
Fractional positions:
Li (0.0000, 0.0000, 0.0000)
Li (0.3552, 0.5000, 0.4992)
V (0.5389, 0.5000, 0.9115)
V (0.6060, 0.5000, 0.2096)
V (0.7489, 0.0000, 0.7099)
V (0.8158, 0.0000, 0.4116)
O (0.0787, 0.0000, 0.7038)
O (0.1497, 0.0000, 0.4405)
O (0.2056, 0.5000, 0.9410)
O (0.2763, 0.5000, 0.2028)
O (0.6277, 0.5000, 0.7417)
O (0.6428, 0.0000, 0.5632)
O (0.6704, 0.5000, 0.3851)
O (0.6842, 0.0000, 0.8852)
O (0.7133, 0.5000, 0.0632)
O (0.7269, 0.0000, 0.2417)

## Properties
Space group ... Pm (6)
Relative energy among the computed polymorphs ... 50.9 meV/atom
Formation enthalpy at 0 K ... -2.403 eV per atom
E ... -7.151 eV/atom



Here is a relaxed Li9V3W7O28 crystal from Materials Project. Energies are from PBE+U.

a = 8.5514 Å, b = 8.5514 Å, c = 8.5514 Å
α = 89.88°, β = 89.88°, γ = 89.88°
Fractional positions:
Li (0.0089, 0.2701, 0.7211)
Li (0.0089, 0.7211, 0.2701)
Li (0.2701, 0.0089, 0.7211)
Li (0.2701, 0.7211, 0.0089)
Li (0.4538, 0.7151, 0.7151)
Li (0.7151, 0.4538, 0.7151)
Li (0.7151, 0.7151, 0.4538)
Li (0.7211, 0.0089, 0.2701)
Li (0.7211, 0.2701, 0.0089)
V (0.4787, 0.9964, 0.9964)
V (0.9964, 0.4787, 0.9964)
V (0.9964, 0.9964, 0.4787)
W (0.0065, 0.7219, 0.7219)
W (0.0158, 0.0158, 0.0158)
W (0.3633, 0.3633, 0.8615)
W (0.3633, 0.8615, 0.3633)
W (0.7219, 0.0065, 0.7219)
W (0.7219, 0.7219, 0.0065)
W (0.8615, 0.3633, 0.3633)
O (0.2157, 0.7463, 0.7463)
O (0.2301, 0.9792, 0.9792)
O (0.2407, 0.4882, 0.9851)
O (0.2407, 0.9851, 0.4882)
O (0.2419, 0.2419, 0.7398)
O (0.2419, 0.7398, 0.2419)
O (0.4864, 0.4864, 0.7419)
O (0.4864, 0.7419, 0.4864)
O (0.4882, 0.2407, 0.9851)
O (0.4882, 0.9851, 0.2407)
O (0.5082, 0.7440, 0.9794)
O (0.5082, 0.9794, 0.7440)
O (0.7398, 0.2419, 0.2419)
O (0.7419, 0.4864, 0.4864)
O (0.7440, 0.5082, 0.9794)
O (0.7441, 0.9734, 0.9734)
O (0.7440, 0.9794, 0.5082)
O (0.7463, 0.2157, 0.7463)
O (0.7463, 0.7463, 0.2157)
O (0.7579, 0.7579, 0.7579)
O (0.9734, 0.7441, 0.9734)
O (0.9734, 0.9734, 0.7441)
O (0.9792, 0.2301, 0.9792)
O (0.9794, 0.5082, 0.7440)
O (0.9794, 0.7440, 0.5082)
O (0.9792, 0.9792, 0.2301)
O (0.9851, 0.2407, 0.4882)
O (0.9851, 0.4882, 0.2407)

## Properties
Space group ... R3m (160)
Formation enthalpy at 0 K ... -2.245 eV per atom
E ... -6.889 eV/atom



Here is a relaxed LiV3Zn2O8 crystal from Materials Project. Energies are from PBE+U.

a = 5.9743 Å, b = 5.9940 Å, c = 8.4463 Å
α = 89.93°, β = 89.48°, γ = 89.68°
Fractional positions:
Li (0.0000, 0.0000, 0.0000)
Li (0.4934, 0.5051, 0.4954)
V (0.2410, 0.2537, 0.7496)
V (0.2452, 0.7545, 0.7483)
V (0.4929, 0.0027, 0.0019)
V (0.7438, 0.2516, 0.2478)
V (0.7450, 0.7517, 0.2453)
V (0.9987, 0.5019, 0.4986)
Zn (0.2325, 0.0005, 0.3779)
Zn (0.2546, 0.5003, 0.1156)
Zn (0.7308, 0.5031, 0.8774)
Zn (0.7513, 0.9991, 0.6170)
O (0.0012, 0.5139, 0.7353)
O (0.0269, 0.9905, 0.7468)
O (0.2184, 0.2782, 0.5065)
O (0.2272, 0.7335, 0.5128)
O (0.2560, 0.2323, 0.9822)
O (0.2597, 0.7678, 0.9797)
O (0.4587, 0.5129, 0.7436)
O (0.4783, 0.9940, 0.7530)
O (0.5195, 0.0018, 0.2525)
O (0.5295, 0.5033, 0.2492)
O (0.7369, 0.2408, 0.0231)
O (0.7378, 0.7631, 0.0237)
O (0.7580, 0.2682, 0.4762)
O (0.7651, 0.7282, 0.4771)
O (0.9592, 0.0004, 0.2490)
O (0.9768, 0.5012, 0.2565)

## Properties
Space group ... P1 (1)
Relative energy among the computed polymorphs ... 5.0 meV/atom
Formation enthalpy at 0 K ... -2.315 eV per atom
E ... -6.648 eV/atom



Here is a relaxed Li3V8ZnO16 crystal from Materials Project. Energies are from PBE+U.

a = 5.9597 Å, b = 5.9597 Å, c = 8.4218 Å
α = 90.00°, β = 90.00°, γ = 90.00°
Fractional positions:
Li (0.0000, 0.0000, 0.0000)
Li (0.0000, 0.5000, 0.2485)
Li (0.5000, 0.0000, 0.7515)
V (0.0000, 0.2427, 0.6258)
V (0.0000, 0.7573, 0.6258)
V (0.2427, 0.0000, 0.3742)
V (0.2462, 0.5000, 0.8788)
V (0.5000, 0.2462, 0.1212)
V (0.5000, 0.7538, 0.1212)
V (0.7538, 0.5000, 0.8788)
V (0.7573, 0.0000, 0.3742)
Zn (0.5000, 0.5000, 0.5000)
O (0.0000, 0.2305, 0.3864)
O (0.0000, 0.2691, 0.8623)
O (0.0000, 0.7309, 0.8623)
O (0.0000, 0.7695, 0.3864)
O (0.2271, 0.5000, 0.6348)
O (0.2305, 0.0000, 0.6136)
O (0.2691, 0.0000, 0.1377)
O (0.2724, 0.5000, 0.1151)
O (0.5000, 0.2271, 0.3652)
O (0.5000, 0.2724, 0.8849)
O (0.5000, 0.7276, 0.8849)
O (0.5000, 0.7729, 0.3652)
O (0.7276, 0.5000, 0.1151)
O (0.7309, 0.0000, 0.1377)
O (0.7695, 0.0000, 0.6136)
O (0.7729, 0.5000, 0.6348)

## Properties
Space group ... P-4m2 (115)
Formation enthalpy at 0 K ... -2.435 eV per atom
E ... -7.229 eV/atom



Here is a relaxed LiV3Zn2O8 crystal from Materials Project. Energies are from PBE+U.

a = 5.9834 Å, b = 8.3978 Å, c = 6.0037 Å
α = 90.00°, β = 90.00°, γ = 89.83°
Fractional positions:
Li (0.2500, 0.3750, 0.9995)
Li (0.7500, 0.8750, 0.4996)
V (0.2500, 0.8750, 0.5005)
V (0.4993, 0.1245, 0.7495)
V (0.0007, 0.6255, 0.7496)
V (0.7500, 0.3750, 0.0002)
V (0.9993, 0.6245, 0.2496)
V (0.5007, 0.1255, 0.2496)
Zn (0.5094, 0.4943, 0.5008)
Zn (0.0095, 0.9943, 0.0008)
Zn (0.9906, 0.2557, 0.5008)
Zn (0.4905, 0.7557, 0.0008)
O (0.7717, 0.6252, 0.9995)
O (0.2718, 0.1253, 0.4995)
O (0.2282, 0.6248, 0.4995)
O (0.7283, 0.1248, 0.9995)
O (0.9892, 0.3976, 0.2353)
O (0.4892, 0.8976, 0.7353)
O (0.0116, 0.8516, 0.2653)
O (0.5116, 0.3516, 0.7653)
O (0.7820, 0.6256, 0.4996)
O (0.2821, 0.1256, 0.9996)
O (0.0108, 0.8524, 0.7353)
O (0.5108, 0.3524, 0.2353)
O (0.9884, 0.3984, 0.7653)
O (0.4884, 0.8984, 0.2653)
O (0.2179, 0.6244, 0.9996)
O (0.7180, 0.1244, 0.4996)

## Properties
Relative energy among the computed polymorphs ... 0.0 meV/atom
Formation enthalpy at 0 K ... -2.320 eV per atom
E ... -6.653 eV/atom



Here is a relaxed LiV3Zn2O8 crystal from Materials Project. Energies are from PBE+U.

a = 5.9661 Å, b = 5.9661 Å, c = 5.9661 Å
α = 60.08°, β = 60.08°, γ = 60.08°
Fractional positions:
Li (0.0000, 0.0000, 0.0000)
V (0.0000, 0.0000, 0.5000)
V (0.0000, 0.5000, 0.0000)
V (0.5000, 0.0000, 0.0000)
Zn (0.3794, 0.3794, 0.3794)
Zn (0.6206, 0.6206, 0.6206)
O (0.2142, 0.7511, 0.7511)
O (0.2426, 0.2426, 0.2426)
O (0.2489, 0.2489, 0.7858)
O (0.2489, 0.7858, 0.2489)
O (0.7511, 0.2142, 0.7511)
O (0.7511, 0.7511, 0.2142)
O (0.7574, 0.7574, 0.7574)
O (0.7858, 0.2489, 0.2489)

## Properties
Space group ... R-3m (166)
Relative energy among the computed polymorphs ... 28.7 meV/atom
Formation enthalpy at 0 K ... -2.291 eV per atom
E ... -6.625 eV/atom



Here is a relaxed LiV3Zn2O8 crystal from Materials Project. Energies are from PBE+U.

a = 5.9797 Å, b = 5.9966 Å, c = 10.3031 Å
α = 90.01°, β = 106.72°, γ = 119.85°
Fractional positions:
Li (0.0093, 0.2514, 0.2501)
Li (0.9907, 0.7486, 0.7499)
V (0.0000, 0.0000, 0.0000)
V (0.0000, 0.0000, 0.5000)
V (0.0000, 0.5000, 0.0000)
V (0.0000, 0.5000, 0.5000)
V (0.5000, 0.0000, 0.0000)
V (0.5000, 0.5000, 0.5000)
Zn (0.3794, 0.4382, 0.8203)
Zn (0.3814, 0.9390, 0.3207)
Zn (0.6186, 0.0610, 0.6793)
Zn (0.6206, 0.5618, 0.1797)
O (0.2118, 0.8669, 0.6084)
O (0.2174, 0.3586, 0.1081)
O (0.2300, 0.8638, 0.1143)
O (0.2357, 0.1028, 0.8917)
O (0.2369, 0.6329, 0.8915)
O (0.2473, 0.3638, 0.6138)
O (0.2518, 0.1424, 0.3924)
O (0.2601, 0.6040, 0.3919)
O (0.7399, 0.3960, 0.6081)
O (0.7482, 0.8576, 0.6076)
O (0.7527, 0.6362, 0.3862)
O (0.7631, 0.3671, 0.1085)
O (0.7643, 0.8972, 0.1083)
O (0.7700, 0.1362, 0.8857)
O (0.7826, 0.6414, 0.8919)
O (0.7882, 0.1331, 0.3916)

## Properties
Space group ... P-1 (2)
Relative energy among the computed polymorphs ... 0.3 meV/atom
Formation enthalpy at 0 K ... -2.320 eV per atom
E ... -6.653 eV/atom



Here is a relaxed LiV3Zn2O8 crystal from Materials Project. Energies are from PBE+U.

a = 5.9695 Å, b = 5.9804 Å, c = 10.3324 Å
α = 90.24°, β = 106.40°, γ = 119.93°
Fractional positions:
Li (0.0000, 0.0000, 0.0000)
Li (0.0000, 0.5000, 0.5000)
V (0.0000, 0.0000, 0.5000)
V (0.0000, 0.5000, 0.0000)
V (0.0007, 0.2513, 0.2498)
V (0.5000, 0.0000, 0.0000)
V (0.5000, 0.5000, 0.5000)
V (0.9993, 0.7487, 0.7502)
Zn (0.3784, 0.9288, 0.3097)
Zn (0.3786, 0.4289, 0.8094)
Zn (0.6214, 0.5711, 0.1906)
Zn (0.6216, 0.0712, 0.6903)
O (0.2143, 0.3680, 0.1295)
O (0.2146, 0.8716, 0.6277)
O (0.2299, 0.1272, 0.3744)
O (0.2333, 0.3436, 0.6056)
O (0.2444, 0.5893, 0.3730)
O (0.2499, 0.0912, 0.8751)
O (0.2498, 0.6462, 0.8748)
O (0.2589, 0.8680, 0.1058)
O (0.7411, 0.1320, 0.8942)
O (0.7502, 0.3538, 0.1252)
O (0.7501, 0.9088, 0.1249)
O (0.7556, 0.4107, 0.6270)
O (0.7667, 0.6564, 0.3944)
O (0.7701, 0.8728, 0.6256)
O (0.7854, 0.1284, 0.3723)
O (0.7857, 0.6320, 0.8705)

## Properties
Space group ... P-1 (2)
Relative energy among the computed polymorphs ... 1.8 meV/atom
Formation enthalpy at 0 K ... -2.318 eV per atom
E ... -6.652 eV/atom



Here is a relaxed LiV3Zn2O8 crystal from Materials Project. Energies are from PBE+U.

a = 5.9650 Å, b = 5.9680 Å, c = 10.3366 Å
α = 106.72°, β = 90.01°, γ = 119.60°
Fractional positions:
Li (0.0000, 0.0000, 0.0000)
Li (0.4971, 0.9975, 0.5010)
V (0.0022, 0.5048, 0.0017)
V (0.2428, 0.0016, 0.2490)
V (0.4950, 0.4960, 0.4977)
V (0.4965, 0.0015, 0.9997)
V (0.7491, 0.9967, 0.7528)
V (0.9974, 0.9946, 0.4970)
Zn (0.0666, 0.6128, 0.6885)
Zn (0.4263, 0.3738, 0.8076)
Zn (0.5620, 0.6145, 0.1875)
Zn (0.9250, 0.3788, 0.3075)
O (0.0871, 0.2452, 0.8730)
O (0.1178, 0.7849, 0.3833)
O (0.1286, 0.7364, 0.8908)
O (0.1304, 0.2522, 0.3883)
O (0.3527, 0.2458, 0.6057)
O (0.3527, 0.7465, 0.1199)
O (0.3658, 0.2135, 0.1227)
O (0.4065, 0.7423, 0.6208)
O (0.5930, 0.2598, 0.3828)
O (0.6298, 0.7813, 0.8659)
O (0.6382, 0.7502, 0.3922)
O (0.6467, 0.2480, 0.8730)
O (0.8591, 0.7532, 0.6191)
O (0.8664, 0.2562, 0.1053)
O (0.8682, 0.2026, 0.6239)
O (0.9019, 0.7470, 0.1226)

## Properties
Space group ... P1 (1)
Relative energy among the computed polymorphs ... 4.5 meV/atom
Formation enthalpy at 0 K ... -2.315 eV per atom
E ... -6.649 eV/atom



Here is a relaxed Li3W8O24 crystal from Materials Project. Energies are from PBE+U.

a = 6.5402 Å, b = 6.5402 Å, c = 10.7959 Å
α = 90.09°, β = 90.09°, γ = 70.43°
Fractional positions:
Li (0.0000, 0.0000, 0.0000)
Li (0.2493, 0.2493, 0.2504)
Li (0.7507, 0.7507, 0.7496)
W (0.0000, 0.5000, 0.0000)
W (0.0000, 0.5000, 0.5000)
W (0.2519, 0.7456, 0.2533)
W (0.2544, 0.7481, 0.7467)
W (0.5000, 0.0000, 0.0000)
W (0.5000, 0.0000, 0.5000)
W (0.7456, 0.2519, 0.2533)
W (0.7481, 0.2544, 0.7467)
O (0.0024, 0.0024, 0.7111)
O (0.0526, 0.6475, 0.8524)
O (0.0953, 0.7002, 0.0997)
O (0.1442, 0.5493, 0.3408)
O (0.1939, 0.6018, 0.6109)
O (0.2090, 0.2090, 0.5021)
O (0.2934, 0.2934, 0.9992)
O (0.2998, 0.9047, 0.9003)
O (0.3525, 0.9474, 0.1476)
O (0.3982, 0.8061, 0.3891)
O (0.4507, 0.8558, 0.6592)
O (0.4991, 0.4991, 0.7978)
O (0.5009, 0.5009, 0.2022)
O (0.5493, 0.1442, 0.3408)
O (0.6018, 0.1939, 0.6109)
O (0.6475, 0.0526, 0.8524)
O (0.7002, 0.0953, 0.0997)
O (0.7066, 0.7066, 0.0008)
O (0.7910, 0.7910, 0.4979)
O (0.8061, 0.3982, 0.3891)
O (0.8558, 0.4507, 0.6592)
O (0.9047, 0.2998, 0.9003)
O (0.9474, 0.3525, 0.1476)
O (0.9976, 0.9976, 0.2889)

## Properties
Space group ... C2/m (12)
Relative energy among the computed polymorphs ... 0.0 meV/atom
Formation enthalpy at 0 K ... -2.206 eV per atom
E ... -7.239 eV/atom



Here is a relaxed LiWO2 crystal from Materials Project. Energies are from PBE+U.

a = 5.2481 Å, b = 5.2481 Å, c = 5.2481 Å
α = 36.22°, β = 36.22°, γ = 36.22°
Fractional positions:
Li (0.0000, 0.0000, 0.0000)
W (0.5000, 0.5000, 0.5000)
O (0.2441, 0.2441, 0.2441)
O (0.7559, 0.7559, 0.7559)

## Properties
Space group ... R-3m (166)
Formation enthalpy at 0 K ... -1.749 eV per atom
E ... -6.487 eV/atom



Here is a relaxed Li2WO4 crystal from Materials Project. Energies are from PBE+U.

a = 9.0735 Å, b = 9.0735 Å, c = 9.0735 Å
α = 107.85°, β = 107.85°, γ = 107.85°
Fractional positions:
Li (0.1076, 0.8729, 0.2771)
Li (0.1271, 0.7229, 0.8924)
Li (0.2035, 0.6092, 0.4334)
Li (0.2771, 0.1076, 0.8729)
Li (0.3908, 0.5666, 0.7965)
Li (0.4334, 0.2035, 0.6092)
Li (0.5666, 0.7965, 0.3908)
Li (0.6092, 0.4334, 0.2035)
Li (0.7229, 0.8924, 0.1271)
Li (0.7965, 0.3908, 0.5666)
Li (0.8729, 0.2771, 0.1076)
Li (0.8924, 0.1271, 0.7229)
W (0.0545, 0.2317, 0.4630)
W (0.2317, 0.4630, 0.0545)
W (0.4630, 0.0545, 0.2317)
W (0.5370, 0.9455, 0.7683)
W (0.7683, 0.5370, 0.9455)
W (0.9455, 0.7683, 0.5370)
O (0.0085, 0.3071, 0.9712)
O (0.0288, 0.9915, 0.6929)
O (0.0421, 0.3634, 0.3482)
O (0.0780, 0.7535, 0.4237)
O (0.2465, 0.5763, 0.9220)
O (0.2783, 0.3170, 0.6171)
O (0.3071, 0.9712, 0.0085)
O (0.3170, 0.6171, 0.2783)
O (0.3482, 0.0421, 0.3634)
O (0.3634, 0.3482, 0.0421)
O (0.3829, 0.7217, 0.6831)
O (0.4237, 0.0780, 0.7535)
O (0.5763, 0.9220, 0.2465)
O (0.6171, 0.2783, 0.3170)
O (0.6366, 0.6518, 0.9579)
O (0.6518, 0.9579, 0.6366)
O (0.6831, 0.3829, 0.7217)
O (0.6929, 0.0288, 0.9915)
O (0.7217, 0.6831, 0.3829)
O (0.7535, 0.4237, 0.0780)
O (0.9220, 0.2464, 0.5763)
O (0.9579, 0.6366, 0.6518)
O (0.9712, 0.0085, 0.3071)
O (0.9915, 0.6929, 0.0288)

## Properties
Space group ... R-3 (148)
Relative energy among the computed polymorphs ... 15.9 meV/atom
Formation enthalpy at 0 K ... -2.336 eV per atom
E ... -6.534 eV/atom



> Among the records above, which one has the lowest formation enthalpy at 0 K?

Li3V8ZnO16